Entry 1:
Cs2KNiF6 | GGA+U | optimized geometry

a = 6.4300 Å, b = 6.4300 Å, c = 6.4300 Å
α = 60.00°, β = 60.00°, γ = 60.00°
Closest atoms and distances in Å follow each position.
Positions (direct):
1 Cs 0.2500 0.2500 0.2500  12 F 3.23
2 Cs 0.7500 0.7500 0.7500  12 F 3.23
3 K 0.0000 0.0000 0.0000  6 F 2.61
4 Ni 0.5000 0.5000 0.5000  6 F 1.93
5 F 0.2873 0.2873 0.7127  1 Ni 1.93
6 F 0.2873 0.7127 0.2873  1 Ni 1.93
7 F 0.2873 0.7127 0.7127  1 Ni 1.93
8 F 0.7127 0.2873 0.2873  1 Ni 1.93
9 F 0.7127 0.2873 0.7127  1 Ni 1.93
10 F 0.7127 0.7127 0.2873  1 Ni 1.93

E_tot ... -40.9 eV/cell
SG ... No. 225

---

Entry 2:
LiCo3O2F6 | GGA+U | optimized geometry

a = 5.0775 Å, b = 7.0730 Å, c = 7.4772 Å
α = 78.97°, β = 89.58°, γ = 89.45°
Closest atoms and distances in Å follow each position.
Positions (direct):
1 Li 0.2344 0.1701 0.1536  4 F 1.96-2.06, 1 O 2.19
2 Li 0.7656 0.8299 0.8464  4 F 1.96-2.06, 1 O 2.19
3 Co 0.2403 0.1684 0.6729  1 O 1.81, 2 F 1.99-2.02
4 Co 0.2561 0.6850 0.6831  2 O 1.85-1.97, 4 F 1.99-2.07
5 Co 0.2834 0.6609 0.1839  1 O 1.83, 4 F 1.96-2.01
6 Co 0.7166 0.3391 0.8161  1 O 1.83, 4 F 1.96-2.01
7 Co 0.7439 0.3150 0.3169  2 O 1.85-1.97, 4 F 1.99-2.07
8 Co 0.7597 0.8316 0.3271  1 O 1.81, 2 F 1.99-2.02
9 O 0.1176 0.9272 0.6842  2 Co 1.81-1.85
10 O 0.4079 0.4240 0.7012  3 Co 1.83-2.05
11 O 0.5921 0.5760 0.2988  3 Co 1.83-2.05
12 O 0.8824 0.0728 0.3158  2 Co 1.81-1.85
13 F 0.0437 0.1995 0.9069  2 Co 1.98-2.05, 1 Li 2.06
14 F 0.0806 0.4254 0.1890  2 Co 1.96-2.04, 1 Li 2.02
15 F 0.0919 0.6842 0.4309  3 Co 2.05-2.11
16 F 0.4063 0.2059 0.4272  2 Co 1.99
17 F 0.4193 0.6894 0.9292  2 Co 2.00-2.03, 1 Li 2.06
18 F 0.4257 0.9233 0.1912  1 Li 1.96, 2 Co 2.01-2.02
19 F 0.5743 0.0767 0.8088  1 Li 1.96, 2 Co 2.01-2.02
20 F 0.5807 0.3106 0.0708  2 Co 2.00-2.03, 1 Li 2.06
21 F 0.5937 0.7941 0.5728  2 Co 1.99
22 F 0.9081 0.3158 0.5691  3 Co 2.05-2.11
23 F 0.9194 0.5746 0.8110  2 Co 1.96-2.04, 1 Li 2.02
24 F 0.9563 0.8005 0.0931  2 Co 1.98-2.05, 1 Li 2.06

Relative energy among the computed polymorphs ... 1.04 eV/f.u.
E_tot ... -119.6 eV/cell
SG ... No. 2

---

Entry 3:
TaVO4 | GGA+U | optimized geometry

a = 5.6501 Å, b = 5.6600 Å, c = 9.1569 Å
α = 85.63°, β = 85.75°, γ = 71.88°
Closest atoms and distances in Å follow each position.
Positions (direct):
1 Ta 0.0000 0.0000 0.0000  6 O 1.97-2.01
2 Ta 0.2490 0.2490 0.7492  6 O 1.98-2.04
3 Ta 0.5000 0.5000 0.5000  6 O 1.98-2.02
4 Ta 0.7510 0.7510 0.2508  6 O 1.98-2.04
5 V 0.1267 0.1267 0.3734  6 O 2.06-2.07
6 V 0.3797 0.3797 0.1207  6 O 2.00-2.10
7 V 0.6203 0.6203 0.8793  6 O 2.00-2.10
8 V 0.8733 0.8733 0.6266  6 O 2.06-2.07
9 O 0.0258 0.0258 0.7792  2 Ta 2.01-2.04, 1 V 2.07
10 O 0.0528 0.4559 0.2468  1 Ta 1.98, 2 V 2.05-2.06
11 O 0.2016 0.7985 0.5000  1 Ta 1.98, 2 V 2.06
12 O 0.2202 0.2204 0.9702  2 Ta 2.01-2.02, 1 V 2.10
13 O 0.2782 0.2781 0.5274  2 Ta 2.02, 1 V 2.07
14 O 0.2974 0.7027 0.0001  1 Ta 1.97, 2 V 2.00
15 O 0.4559 0.0527 0.2468  1 Ta 1.98, 2 V 2.05-2.06
16 O 0.4684 0.4685 0.7212  2 Ta 2.00-2.02, 1 V 2.10
17 O 0.5316 0.5315 0.2788  2 Ta 2.00-2.02, 1 V 2.10
18 O 0.5441 0.9473 0.7532  1 Ta 1.98, 2 V 2.05-2.06
19 O 0.7026 0.2973 0.9999  1 Ta 1.97, 2 V 2.00
20 O 0.7218 0.7219 0.4726  2 Ta 2.02, 1 V 2.07
21 O 0.7798 0.7796 0.0298  2 Ta 2.01-2.02, 1 V 2.10
22 O 0.7984 0.2015 0.5000  1 Ta 1.98, 2 V 2.06
23 O 0.9472 0.5441 0.7532  1 Ta 1.98, 2 V 2.05-2.06
24 O 0.9742 0.9742 0.2208  2 Ta 2.01-2.04, 1 V 2.07

E_tot ... -217.2 eV/cell
SG ... No. 2

---

Entry 4:
Li4CrP2O9 | GGA+U | optimized geometry

a = 12.6269 Å, b = 7.1609 Å, c = 19.4246 Å
α = 90.00°, β = 98.18°, γ = 90.00°
Closest atoms and distances in Å follow each position.
Positions (direct):
1 Li 0.0000 0.0000 0.0000  4 O 2.11-2.36
2 Li 0.0000 0.0000 0.5000  4 O 2.11-2.36
3 Li 0.0000 0.4194 0.2500  4 O 2.13-2.38
4 Li 0.0000 0.5806 0.7500  4 O 2.13-2.38
5 Li 0.0183 0.2551 0.8651  4 O 1.92-2.14
6 Li 0.0183 0.7449 0.3651  4 O 1.92-2.14
7 Li 0.1962 0.4575 0.1539  5 O 2.10-2.32
8 Li 0.1962 0.5425 0.6539  5 O 2.10-2.32
9 Li 0.2009 0.0466 0.1628  4 O 1.93-2.11
10 Li 0.2009 0.9534 0.6628  4 O 1.93-2.11
11 Li 0.2038 0.0278 0.3596  3 O 2.06-2.21
12 Li 0.2038 0.9722 0.8596  3 O 2.06-2.21
13 Li 0.2101 0.2036 0.0249  2 O 1.99-2.05
14 Li 0.2101 0.7964 0.5249  2 O 1.99-2.05
15 Li 0.3905 0.2062 0.4404  3 O 1.89-2.09
16 Li 0.3905 0.7938 0.9404  3 O 1.89-2.09
17 Li 0.3955 0.0121 0.7986  3 O 2.07-2.12
18 Li 0.3955 0.9879 0.2986  3 O 2.07-2.12
19 Li 0.4053 0.4819 0.0504  4 O 2.08-2.31
20 Li 0.4053 0.5181 0.5504  4 O 2.08-2.31
21 Li 0.4163 0.2669 0.6680  4 O 1.91-2.14
22 Li 0.4163 0.7331 0.1680  4 O 1.91-2.14
23 Li 0.5837 0.2669 0.8320  4 O 1.91-2.14
24 Li 0.5837 0.7331 0.3320  4 O 1.91-2.14
25 Li 0.5947 0.4819 0.4496  4 O 2.08-2.31
26 Li 0.5947 0.5181 0.9496  4 O 2.08-2.31
27 Li 0.6045 0.0121 0.7014  3 O 2.07-2.12
28 Li 0.6045 0.9879 0.2014  3 O 2.07-2.12
29 Li 0.6095 0.2062 0.0596  3 O 1.89-2.09
30 Li 0.6095 0.7938 0.5596  3 O 1.89-2.09
31 Li 0.7899 0.2036 0.4751  2 O 1.99-2.05
32 Li 0.7899 0.7964 0.9751  2 O 1.99-2.05
33 Li 0.7962 0.0278 0.1404  3 O 2.06-2.21
34 Li 0.7962 0.9722 0.6404  3 O 2.06-2.21
35 Li 0.7991 0.0466 0.3372  4 O 1.93-2.11
36 Li 0.7991 0.9534 0.8372  4 O 1.93-2.11
37 Li 0.8038 0.4575 0.3461  5 O 2.10-2.32
38 Li 0.8038 0.5425 0.8461  5 O 2.10-2.32
39 Li 0.9817 0.2551 0.6349  4 O 1.92-2.14
40 Li 0.9817 0.7449 0.1349  4 O 1.92-2.14
41 Cr 0.0000 0.5000 0.0000  6 O 1.88-1.98
42 Cr 0.0000 0.5000 0.5000  6 O 1.88-1.98
43 Cr 0.2017 0.4800 0.4018  6 O 1.86-2.00
44 Cr 0.2017 0.5200 0.9018  6 O 1.86-2.00
45 Cr 0.3991 0.4631 0.3008  6 O 1.88-1.98
46 Cr 0.3991 0.5369 0.8008  6 O 1.88-1.98
47 Cr 0.6009 0.4631 0.1992  6 O 1.88-1.98
48 Cr 0.6009 0.5369 0.6992  6 O 1.88-1.98
49 Cr 0.7983 0.4800 0.0982  6 O 1.86-2.00
50 Cr 0.7983 0.5200 0.5982  6 O 1.86-2.00
51 P 0.0042 0.2040 0.3735  4 O 1.53-1.58
52 P 0.0042 0.7960 0.8735  4 O 1.53-1.58
53 P 0.1939 0.2777 0.7591  4 O 1.53-1.59
54 P 0.1939 0.7223 0.2591  4 O 1.53-1.59
55 P 0.2084 0.2563 0.5466  4 O 1.53-1.59
56 P 0.2084 0.7437 0.0466  4 O 1.53-1.59
57 P 0.3999 0.1984 0.1662  4 O 1.53-1.58
58 P 0.3999 0.8016 0.6662  4 O 1.53-1.58
59 P 0.4015 0.2418 0.9316  4 O 1.53-1.59
60 P 0.4015 0.7582 0.4316  4 O 1.53-1.59
61 P 0.5985 0.2418 0.5684  4 O 1.53-1.59
62 P 0.5985 0.7582 0.0684  4 O 1.53-1.59
63 P 0.6001 0.1984 0.3338  4 O 1.53-1.58
64 P 0.6001 0.8016 0.8338  4 O 1.53-1.58
65 P 0.7916 0.2563 0.9534  4 O 1.53-1.59
66 P 0.7916 0.7437 0.4534  4 O 1.53-1.59
67 P 0.8061 0.2777 0.7409  4 O 1.53-1.59
68 P 0.8061 0.7223 0.2409  4 O 1.53-1.59
69 P 0.9958 0.2040 0.1265  4 O 1.53-1.58
70 P 0.9958 0.7960 0.6265  4 O 1.53-1.58
71 O 0.0181 0.2602 0.0515  1 P 1.58
72 O 0.0181 0.7398 0.5515  1 P 1.58
73 O 0.0491 0.0052 0.3813  1 P 1.53
74 O 0.0491 0.9948 0.8813  1 P 1.53
75 O 0.0898 0.3354 0.3461  1 P 1.58
76 O 0.0898 0.6646 0.8461  1 P 1.58
77 O 0.0963 0.3284 0.7067  1 P 1.53
78 O 0.0963 0.6716 0.2067  1 P 1.53
79 O 0.0971 0.2337 0.1788  1 P 1.53
80 O 0.0971 0.7663 0.6788  1 P 1.53
81 O 0.1011 0.3995 0.9482  2 Cr 1.87-1.88, 1 Li 2.07
82 O 0.1011 0.6005 0.4482  2 Cr 1.87-1.88, 1 Li 2.07
83 O 0.1154 0.3926 0.5632  1 P 1.59
84 O 0.1154 0.6074 0.0632  1 P 1.59
85 O 0.1716 0.3115 0.8350  1 P 1.56
86 O 0.1716 0.6885 0.3350  1 P 1.56
87 O 0.1736 0.0558 0.5597  1 P 1.53
88 O 0.1736 0.9442 0.0597  1 P 1.53
89 O 0.2267 0.2712 0.4688  1 P 1.56
90 O 0.2267 0.7288 0.9688  1 P 1.56
91 O 0.2348 0.0754 0.7569  1 P 1.54
92 O 0.2348 0.9246 0.2569  1 P 1.54
93 O 0.2845 0.4159 0.7411  1 P 1.59
94 O 0.2845 0.5841 0.2411  1 P 1.59
95 O 0.2940 0.2365 0.1186  1 P 1.54
96 O 0.2940 0.7635 0.6186  1 P 1.54
97 O 0.3072 0.3314 0.5934  1 P 1.53
98 O 0.3074 0.3628 0.3596  2 Cr 1.86-1.88
99 O 0.3074 0.6372 0.8596  2 Cr 1.86-1.88
100 O 0.3072 0.6686 0.0934  1 P 1.53
101 O 0.3120 0.3647 0.9602  1 P 1.59
102 O 0.3120 0.6353 0.4602  1 P 1.59
103 O 0.3576 0.0445 0.9156  1 P 1.53
104 O 0.3576 0.9555 0.4156  1 P 1.53
105 O 0.3820 0.2421 0.2431  1 P 1.57
106 O 0.3820 0.7579 0.7431  1 P 1.57
107 O 0.4286 0.3163 0.8601  1 P 1.57
108 O 0.4286 0.6837 0.3601  1 P 1.57
109 O 0.4406 0.0024 0.6696  1 P 1.53
110 O 0.4406 0.9976 0.1696  1 P 1.53
111 O 0.4832 0.3343 0.1391  1 P 1.58
112 O 0.4832 0.6657 0.6391  1 P 1.58
113 O 0.5003 0.2712 0.5134  1 P 1.53
114 O 0.4997 0.2712 0.9866  1 P 1.53
115 O 0.5000 0.4280 0.7500  2 Cr 1.89
116 O 0.5000 0.5720 0.2500  2 Cr 1.89
117 O 0.5003 0.7288 0.0134  1 P 1.53
118 O 0.4997 0.7288 0.4866  1 P 1.53
119 O 0.5168 0.3343 0.3609  1 P 1.58
120 O 0.5168 0.6657 0.8609  1 P 1.58
121 O 0.5594 0.0024 0.8304  1 P 1.53
122 O 0.5594 0.9976 0.3304  1 P 1.53
123 O 0.5714 0.3163 0.6399  1 P 1.57
124 O 0.5714 0.6837 0.1399  1 P 1.57
125 O 0.6180 0.2421 0.2569  1 P 1.57
126 O 0.6180 0.7579 0.7569  1 P 1.57
127 O 0.6424 0.0445 0.5844  1 P 1.53
128 O 0.6424 0.9555 0.0844  1 P 1.53
129 O 0.6880 0.3647 0.5398  1 P 1.59
130 O 0.6880 0.6353 0.0398  1 P 1.59
131 O 0.6928 0.3314 0.9066  1 P 1.53
132 O 0.6926 0.3628 0.1404  2 Cr 1.86-1.88
133 O 0.6926 0.6372 0.6404  2 Cr 1.86-1.88
134 O 0.6928 0.6686 0.4066  1 P 1.53
135 O 0.7060 0.2365 0.3814  1 P 1.54
136 O 0.7060 0.7635 0.8814  1 P 1.54
137 O 0.7155 0.4159 0.7589  1 P 1.59
138 O 0.7155 0.5841 0.2589  1 P 1.59
139 O 0.7652 0.0754 0.7431  1 P 1.54
140 O 0.7652 0.9246 0.2431  1 P 1.54
141 O 0.7733 0.2712 0.0312  1 P 1.56
142 O 0.7733 0.7288 0.5312  1 P 1.56
143 O 0.8264 0.0558 0.9403  1 P 1.53
144 O 0.8264 0.9442 0.4403  1 P 1.53
145 O 0.8284 0.3115 0.6650  1 P 1.56
146 O 0.8284 0.6885 0.1650  1 P 1.56
147 O 0.8846 0.3926 0.9368  1 P 1.59
148 O 0.8846 0.6074 0.4368  1 P 1.59
149 O 0.8989 0.3995 0.5518  2 Cr 1.87-1.88, 1 Li 2.07
150 O 0.8989 0.6005 0.0518  2 Cr 1.87-1.88, 1 Li 2.07
151 O 0.9029 0.2337 0.3212  1 P 1.53
152 O 0.9029 0.7663 0.8212  1 P 1.53
153 O 0.9037 0.3284 0.7933  1 P 1.53
154 O 0.9037 0.6716 0.2933  1 P 1.53
155 O 0.9102 0.3354 0.1539  1 P 1.58
156 O 0.9102 0.6646 0.6539  1 P 1.58
157 O 0.9509 0.0052 0.1187  1 P 1.53
158 O 0.9509 0.9948 0.6187  1 P 1.53
159 O 0.9819 0.2602 0.4485  1 P 1.58
160 O 0.9819 0.7398 0.9485  1 P 1.58

Relative energy among the computed polymorphs ... 0.22 eV/f.u.
E_tot ... -1055.2 eV/cell
SG ... No. 13

---

Computed values of ΔH_f (0 K) (unit: eV/atom) for the preceding records, in sequence: -2.6036, -2.0198, -3.0028, -2.5659.